An optimized crystal structure of LiTi4O8. Source: the Materials Project database, functional PBE-GGA.

a b c (Å): 3.805 6.470 6.611
angles (deg): 106.68 90.00 107.10
Atoms (fractional coordinates):
Li  0.500  0.000  0.000
Ti  0.197  0.394  0.286
Ti  0.899  0.797  0.297
Ti  0.803  0.606  0.714
Ti  0.101  0.203  0.703
O  0.941  0.882  0.629
O  0.361  0.722  0.280
O  0.883  0.765  0.994
O  0.059  0.118  0.371
O  0.266  0.533  0.660
O  0.117  0.235  0.006
O  0.734  0.467  0.340
O  0.639  0.278  0.720

Computed properties:
Formation enthalpy at 0 K   -3319 meV per atom
MP2020-corrected energy   -116.2 eV per cell
Polymorph energy (0 for the lowest one)   14 meV/atom